Here is Mg14CdSnO16 after structural relaxation from the Materials Project. Energies are from PBE-GGA.

a b c (Å): 8.7488 8.7769 4.4124
angles (deg): 90.00 90.00 90.00
Closest atoms and distances in Å follow each position.
Positions (direct):
Mg1 0.5000 0.0000 0.0000  6 O 1.99-2.21
Mg2 0.5000 0.5000 0.0000  6 O 2.02-2.21
Mg3 0.0000 0.2549 0.5000  6 O 2.15-2.24
Mg4 0.0000 0.7451 0.5000  6 O 2.15-2.24
Mg5 0.5000 0.2509 0.5000  6 O 2.19-2.21
Mg6 0.5000 0.7491 0.5000  6 O 2.19-2.21
Mg7 0.2595 0.0000 0.5000  6 O 2.10-2.27
Mg8 0.2560 0.5000 0.5000  6 O 2.14-2.24
Mg9 0.7405 0.0000 0.5000  6 O 2.10-2.27
Mg10 0.7440 0.5000 0.5000  6 O 2.14-2.24
Mg11 0.2581 0.2526 0.0000  6 O 2.12-2.26
Mg12 0.2581 0.7474 0.0000  6 O 2.12-2.26
Mg13 0.7419 0.2526 0.0000  6 O 2.12-2.26
Mg14 0.7419 0.7474 0.0000  6 O 2.12-2.26
Cd1 0.0000 0.5000 0.0000  6 O 2.15-2.35
Sn1 0.0000 0.0000 0.0000  6 O 2.21-2.38
O1 0.2723 0.0000 0.0000  5 Mg 1.99-2.22
O2 0.2690 0.5000 0.0000  5 Mg 2.02-2.21
O3 0.7277 0.0000 0.0000  5 Mg 1.99-2.22
O4 0.7310 0.5000 0.0000  5 Mg 2.02-2.21
O5 0.2496 0.2503 0.5000  6 Mg 2.18-2.21
O6 0.2496 0.7497 0.5000  6 Mg 2.18-2.21
O7 0.7504 0.2503 0.5000  6 Mg 2.18-2.21
O8 0.7504 0.7497 0.5000  6 Mg 2.18-2.21
O9 0.0000 0.0000 0.5000  2 Sn 2.21, 4 Mg 2.24-2.27
O10 0.0000 0.5000 0.5000  4 Mg 2.15-2.24, 2 Cd 2.21
O11 0.5000 0.0000 0.5000  6 Mg 2.10-2.21
O12 0.5000 0.5000 0.5000  6 Mg 2.14-2.21
O13 0.0000 0.2547 0.0000  1 Cd 2.15, 4 Mg 2.21-2.26, 1 Sn 2.24
O14 0.0000 0.7453 0.0000  1 Cd 2.15, 4 Mg 2.21-2.26, 1 Sn 2.24
O15 0.5000 0.2510 0.0000  6 Mg 2.12-2.21
O16 0.5000 0.7490 0.0000  6 Mg 2.12-2.21

E above lowest polymorph = 1.0 kJ/mol of atoms
MP2020-corrected energy = -193.513 eV/cell
Total energy = -182.52 eV/cell
Magnetization = 0.00 μB/atom